(1)
Here is a relaxed structure of SnH20C6N2Cl6 from the Materials Project. Energies are from PBE.

Cell: 12.3898 12.3898 12.3898 Å, 90.00 90.00 90.00°
Space group Pa-3 (No. 205)
Unique sites:
Sn (0.0000, 0.0000, 0.0000) x4
H (0.0717, 0.2465, 0.8007) x24
H (0.1322, 0.1554, 0.6387) x24
H (0.1365, 0.7010, 0.2623) x24
H (0.1551, 0.1551, 0.1551) x8
C (0.1496, 0.2132, 0.3110) x24
N (0.2034, 0.2034, 0.2034) x8
Cl (0.0259, 0.6959, 0.4668) x24

## Properties
Raw total energy (eV per atom): -4.8190
Magnetic moment (μB/f.u.): 0.00
Formation enthalpy at 0 K (eV per atom): -0.496

(2)
Here is a relaxed structure of TbAl3Ag from the Materials Project. Energies are from PBE.

Cell: 4.1854 4.1916 11.3103 Å, 90.00 90.00 90.00°
Space group Imm2 (No. 44)
Unique sites:
Tb (0.0000, 0.0000, 0.0000) x2
Al (0.0000, 0.0000, 0.3900) x2
Al (0.0000, 0.0000, 0.6096) x2
Al (0.0000, 0.5000, 0.7492) x2
Ag (0.0000, 0.5000, 0.2504) x2

## Properties
Raw total energy (eV per atom): -4.0971
Magnetic moment (μB/f.u.): 0.00
Formation enthalpy at 0 K (eV per atom): -0.356

(3)
Here is a relaxed structure of Cd2RuC6N6 from the Materials Project. Energies are from PBE.

Cell: 6.4495 6.4495 6.6353 Å, 90.00 90.00 120.00°
Space group P-31m (No. 162)
Unique sites:
Cd (0.3333, 0.6667, 0.0000) x2
Ru (0.0000, 0.0000, 0.5000) x1
C (0.0000, 0.2474, 0.6840) x6
N (0.0000, 0.3839, 0.8035) x6

## Properties
Raw total energy (eV per atom): -7.5635
Magnetic moment (μB/f.u.): 0.00
Formation enthalpy at 0 K (eV per atom): 0.059

(4)
Here is a relaxed structure of RbBi from the Materials Project. Energies are from PBE.

Cell: 4.6853 4.6853 3.8589 Å, 90.00 90.00 90.00°
Space group P4/mmm (No. 123)
Unique sites:
Rb (0.0000, 0.0000, 0.0000) x1
Bi (0.5000, 0.5000, 0.5000) x1

## Properties
Raw total energy (eV per atom): -2.4911
Magnetic moment (μB/f.u.): 0.00
Formation enthalpy at 0 K (eV per atom): -0.056
Energy relative to the lowest polymorph listed for this composition (meV/atom): 286